The following is a DFT calculation (GGA-PBE) of crystalline Na3LaMg3S6O24 at its relaxed geometry.

ΔE_f ... -2393 meV/atom
Corrected total energy (MP2020 scheme) ... -0.244 Ha/atom

abc: 8.953 8.954 23.347
angles: 89.98 89.95 60.02
Space group P1 (No. 1)
One atom of each set of equivalent atoms:
Na1 0.000 0.000 0.000 [1 per cell]
Na2 0.000 0.365 0.750 [1 per cell]
Na3 0.012 0.353 0.251 [1 per cell]
Na4 0.320 0.699 0.416 [1 per cell]
Na5 0.345 0.699 0.911 [1 per cell]
Na6 0.364 0.366 0.000 [1 per cell]
Na7 0.666 0.019 0.084 [1 per cell]
Na8 0.667 0.032 0.579 [1 per cell]
Na9 0.669 0.669 0.339 [1 per cell]
La1 0.334 0.698 0.561 [1 per cell]
La2 0.667 0.031 0.738 [1 per cell]
La3 0.667 0.036 0.233 [1 per cell]
Mg1 0.001 0.363 0.600 [1 per cell]
Mg2 0.007 0.359 0.404 [1 per cell]
Mg3 0.325 0.699 0.267 [1 per cell]
Mg4 0.334 0.698 0.768 [1 per cell]
Mg5 0.341 0.699 0.069 [1 per cell]
Mg6 0.666 0.023 0.929 [1 per cell]
Mg7 0.667 0.035 0.438 [1 per cell]
Mg8 0.997 0.368 0.103 [1 per cell]
Mg9 0.997 0.368 0.902 [1 per cell]
S1 0.044 0.681 0.670 [1 per cell]
S2 0.056 0.991 0.164 [1 per cell]
S3 0.291 0.075 0.002 [1 per cell]
S4 0.293 0.347 0.498 [1 per cell]
S5 0.317 0.004 0.670 [1 per cell]
S6 0.319 0.420 0.164 [1 per cell]
S7 0.357 0.341 0.842 [1 per cell]
S8 0.362 0.031 0.339 [1 per cell]
S9 0.627 0.683 0.167 [1 per cell]
S10 0.640 0.408 0.670 [1 per cell]
S11 0.667 0.337 0.339 [1 per cell]
S12 0.667 0.722 0.840 [1 per cell]
S13 0.709 0.365 0.002 [1 per cell]
S14 0.725 0.657 0.497 [1 per cell]
S15 0.972 0.726 0.339 [1 per cell]
S16 0.977 0.031 0.841 [1 per cell]
S17 0.983 0.089 0.498 [1 per cell]
S18 0.998 0.657 0.002 [1 per cell]
O1 0.001 0.174 0.448 [1 per cell]
O2 0.029 0.548 0.952 [1 per cell]
O3 0.031 0.523 0.665 [1 per cell]
O4 0.036 0.165 0.160 [1 per cell]
O5 0.119 0.708 0.617 [1 per cell]
O6 0.137 0.889 0.111 [1 per cell]
O7 0.140 0.912 0.499 [1 per cell]
O8 0.143 0.711 0.330 [1 per cell]
O9 0.146 0.872 0.834 [1 per cell]
O10 0.147 0.670 0.721 [1 per cell]
O11 0.152 0.905 0.216 [1 per cell]
O12 0.157 0.676 0.008 [1 per cell]
O13 0.159 0.175 0.665 [1 per cell]
O14 0.164 0.400 0.160 [1 per cell]
O15 0.181 0.154 0.951 [1 per cell]
O16 0.185 0.360 0.850 [1 per cell]
O17 0.189 0.180 0.347 [1 per cell]
O18 0.189 0.366 0.448 [1 per cell]
O19 0.212 0.185 0.054 [1 per cell]
O20 0.212 0.337 0.552 [1 per cell]
O21 0.306 0.912 0.721 [1 per cell]
O22 0.308 0.900 0.009 [1 per cell]
O23 0.309 0.516 0.216 [1 per cell]
O24 0.314 0.504 0.499 [1 per cell]
O25 0.338 0.501 0.111 [1 per cell]
O26 0.344 0.902 0.617 [1 per cell]
O27 0.347 0.510 0.834 [1 per cell]
O28 0.356 0.867 0.331 [1 per cell]
O29 0.431 0.236 0.789 [1 per cell]
O30 0.432 0.062 0.285 [1 per cell]
O31 0.465 0.059 0.995 [1 per cell]
O32 0.468 0.192 0.494 [1 per cell]
O33 0.471 0.027 0.673 [1 per cell]
O34 0.472 0.251 0.892 [1 per cell]
O35 0.476 0.243 0.166 [1 per cell]
O36 0.484 0.000 0.386 [1 per cell]
O37 0.508 0.710 0.833 [1 per cell]
O38 0.511 0.512 0.332 [1 per cell]
O39 0.520 0.703 0.117 [1 per cell]
O40 0.530 0.515 0.009 [1 per cell]
O41 0.539 0.483 0.617 [1 per cell]
O42 0.548 0.511 0.721 [1 per cell]
O43 0.548 0.673 0.221 [1 per cell]
O44 0.548 0.677 0.498 [1 per cell]
O45 0.641 0.840 0.888 [1 per cell]
O46 0.642 0.247 0.387 [1 per cell]
O47 0.647 0.841 0.167 [1 per cell]
O48 0.663 0.232 0.673 [1 per cell]
O49 0.690 0.205 0.996 [1 per cell]
O50 0.699 0.238 0.285 [1 per cell]
O51 0.700 0.790 0.786 [1 per cell]
O52 0.705 0.832 0.494 [1 per cell]
O53 0.788 0.389 0.951 [1 per cell]
O54 0.801 0.528 0.162 [1 per cell]
O55 0.806 0.557 0.445 [1 per cell]
O56 0.810 0.396 0.665 [1 per cell]
O57 0.818 0.335 0.053 [1 per cell]
O58 0.818 0.363 0.346 [1 per cell]
O59 0.819 0.572 0.550 [1 per cell]
O60 0.820 0.550 0.849 [1 per cell]
O61 0.828 0.069 0.495 [1 per cell]
O62 0.847 0.836 0.995 [1 per cell]
O63 0.864 0.796 0.286 [1 per cell]
O64 0.868 0.835 0.673 [1 per cell]
O65 0.872 0.063 0.789 [1 per cell]
O66 0.879 0.009 0.166 [1 per cell]
O67 0.882 0.842 0.387 [1 per cell]
O68 0.887 0.006 0.892 [1 per cell]
O69 0.974 0.180 0.552 [1 per cell]
O70 0.974 0.578 0.054 [1 per cell]
O71 0.987 0.554 0.346 [1 per cell]
O72 0.996 0.184 0.849 [1 per cell]

***

The following is a DFT calculation (GGA-PBE) of crystalline Sm2Se3O9 at its relaxed geometry.

ΔE_f ... -2318 meV/atom
Corrected total energy (MP2020 scheme) ... -0.254 Ha/atom

abc: 7.076 8.022 9.218
angles: 70.24 75.93 64.12
Space group P-1 (No. 2)
One atom of each set of equivalent atoms:
Sm1 0.127 0.350 0.324 [2 per cell]
Sm2 0.272 0.689 0.872 [2 per cell]
Se1 0.046 0.824 0.256 [2 per cell]
Se2 0.309 0.234 0.965 [2 per cell]
Se3 0.371 0.780 0.490 [2 per cell]
O1 0.040 0.336 0.593 [2 per cell]
O2 0.109 0.214 0.110 [2 per cell]
O3 0.141 0.785 0.617 [2 per cell]
O4 0.175 0.019 0.835 [2 per cell]
O5 0.179 0.663 0.143 [2 per cell]
O6 0.198 0.439 0.823 [2 per cell]
O7 0.328 0.014 0.415 [2 per cell]
O8 0.403 0.344 0.054 [2 per cell]
O9 0.469 0.314 0.358 [2 per cell]

***

The following is a DFT calculation (GGA-PBE) of crystalline Dy11Sn10 at its relaxed geometry.

ΔE_f ... -735 meV/atom

abc: 11.658 11.658 17.079
angles: 90.00 90.00 90.00
Space group I4/mmm (No. 139)
One atom of each set of equivalent atoms:
Dy1 0.000 0.000 0.164 [4 per cell]
Dy2 0.000 0.252 0.311 [16 per cell]
Dy3 0.000 0.330 0.102 [16 per cell]
Dy4 0.175 0.175 0.500 [8 per cell]
Sn1 0.000 0.000 0.388 [4 per cell]
Sn2 0.000 0.356 0.500 [8 per cell]
Sn3 0.000 0.500 0.250 [4 per cell]
Sn4 0.130 0.130 0.000 [8 per cell]
Sn5 0.206 0.206 0.176 [16 per cell]

***

The following is a DFT calculation (GGA-PBE) of crystalline Hg2Te2O7 at its relaxed geometry.

ΔE_f ... -1169 meV/atom
Corrected total energy (MP2020 scheme) ... -0.182 Ha/atom

abc: 13.310 7.549 13.700
angles: 90.00 113.19 90.00
Space group C2/c (No. 15)
One atom of each set of equivalent atoms:
Hg1 0.000 0.210 0.250 [4 per cell]
Hg2 0.000 0.266 0.750 [4 per cell]
Hg3 0.250 0.250 0.000 [4 per cell]
Hg4 0.250 0.250 0.500 [4 per cell]
Te1 0.000 0.000 0.000 [4 per cell]
Te2 0.000 0.500 0.000 [4 per cell]
Te3 0.225 0.496 0.257 [8 per cell]
O1 0.038 0.251 0.545 [8 per cell]
O2 0.057 0.446 0.154 [8 per cell]
O3 0.062 0.018 0.394 [8 per cell]
O4 0.146 0.069 0.101 [8 per cell]
O5 0.148 0.480 0.005 [8 per cell]
O6 0.169 0.291 0.801 [8 per cell]
O7 0.191 0.302 0.329 [8 per cell]

***

The following is a DFT calculation (GGA-PBE) of crystalline K3ReH6 at its relaxed geometry.

ΔE_f ... -139 meV/atom
Corrected total energy (MP2020 scheme) ... -0.138 Ha/atom

abc: 8.654 8.654 8.654
angles: 90.00 90.00 90.00
Space group Fm-3m (No. 225)
One atom of each set of equivalent atoms:
K1 0.000 0.000 0.000 [4 per cell]
K2 0.250 0.250 0.250 [8 per cell]
Re1 0.000 0.000 0.500 [4 per cell]
H1 0.000 0.000 0.294 [24 per cell]

***

The following is a DFT calculation (GGA-PBE) of crystalline TlBi at its relaxed geometry.

ΔE_f ... 88 meV/atom

abc: 3.992 3.992 3.992
angles: 90.00 90.00 90.00
Space group Pm-3m (No. 221)
One atom of each set of equivalent atoms:
Tl1 0.000 0.000 0.000 [1 per cell]
Bi1 0.500 0.500 0.500 [1 per cell]

***

The following is a DFT calculation (GGA-PBE) of crystalline Ag3BO3 at its relaxed geometry.

ΔE_f ... -1206 meV/atom
Corrected total energy (MP2020 scheme) ... -0.202 Ha/atom

abc: 9.9791 9.9791 14.0132
angles: 90.00 90.00 120.00
Space group R-3c (No. 167, hexagonal axes)
One atom of each set of equivalent atoms:
Ag1 0.0013 0.4964 0.1244 [36 per cell]
B1 0.0000 0.0000 0.1243 [12 per cell]
O1 0.0062 0.1421 0.1239 [36 per cell]

***

The following is a DFT calculation (GGA-PBE) of crystalline PmH3 at its relaxed geometry.

ΔE_f ... -648 meV/atom
Corrected total energy (MP2020 scheme) ... -0.161 Ha/atom

abc: 5.363 5.363 5.363
angles: 90.00 90.00 90.00
Space group Fm-3m (No. 225)
One atom of each set of equivalent atoms:
Pm1 0.000 0.000 0.000 [4 per cell]
H1 0.000 0.000 0.500 [4 per cell]
H2 0.250 0.250 0.250 [8 per cell]

***

The following is a DFT calculation (GGA-PBE) of crystalline Li5Cu3O6 at its relaxed geometry.

ΔE_f ... -1605 meV/atom
Corrected total energy (MP2020 scheme) ... -0.194 Ha/atom

abc: 4.780 5.278 6.596
angles: 67.81 80.02 83.17
Space group P1 (No. 1)
One atom of each set of equivalent atoms:
Li1 0.000 0.000 0.000 [1 per cell]
Li2 0.128 0.457 0.693 [1 per cell]
Li3 0.455 0.074 0.078 [1 per cell]
Li4 0.630 0.333 0.668 [1 per cell]
Li5 0.788 0.763 0.385 [1 per cell]
Cu1 0.211 0.045 0.533 [1 per cell]
Cu2 0.562 0.724 0.860 [1 per cell]
Cu3 0.884 0.386 0.196 [1 per cell]
O1 0.083 0.040 0.271 [1 per cell]
O2 0.340 0.077 0.791 [1 per cell]
O3 0.439 0.704 0.608 [1 per cell]
O4 0.712 0.745 0.104 [1 per cell]
O5 0.771 0.364 0.938 [1 per cell]
O6 0.970 0.382 0.467 [1 per cell]

***

The following is a DFT calculation (GGA-PBE) of crystalline ZnSb2O5 at its relaxed geometry.

ΔE_f ... -1565 meV/atom
Corrected total energy (MP2020 scheme) ... -0.215 Ha/atom

abc: 3.995 5.401 13.563
angles: 90.74 92.97 111.38
Space group P1 (No. 1)
One atom of each set of equivalent atoms:
Zn1 0.000 0.000 0.000 [1 per cell]
Zn2 0.045 0.800 0.493 [1 per cell]
Sb1 0.319 0.392 0.373 [1 per cell]
Sb2 0.342 0.377 0.647 [1 per cell]
Sb3 0.889 0.485 0.151 [1 per cell]
Sb4 0.920 0.470 0.855 [1 per cell]
O1 0.087 0.854 0.119 [1 per cell]
O2 0.093 0.845 0.884 [1 per cell]
O3 0.128 0.018 0.376 [1 per cell]
O4 0.155 0.008 0.614 [1 per cell]
O5 0.357 0.511 0.235 [1 per cell]
O6 0.383 0.415 0.809 [1 per cell]
O7 0.426 0.579 0.511 [1 per cell]
O8 0.861 0.480 0.387 [1 per cell]
O9 0.882 0.452 0.675 [1 per cell]
O10 0.917 0.332 0.000 [1 per cell]